1.
## LiTmSn (r2SCAN)

Data for a geometry-optimized LiTmSn structure.

a = 9.2446 Å, b = 9.2446 Å, c = 7.1973 Å
α = 90.00°, β = 90.00°, γ = 120.00°
Space group P6_3mc (No. 186)
Symmetry-distinct sites (fractional):
Li 0.1669 0.3338 0.0000 x6
Li 0.3333 0.6667 0.6118 x2
Tm 0.0000 0.0000 0.2895 x2
Tm 0.0224 0.5112 0.2953 x6
Sn 0.1667 0.3334 0.5585 x6
Sn 0.3333 0.6667 0.0301 x2

## Properties
mass density = 7.35 g/cm³
ΔH_f (0 K) = -0.73 eV per atom
final energy = -21.4789 eV per atom
V = 22.196 Å³ per atom


2.
## BiI3O9 (r2SCAN)

Data for a geometry-optimized BiI3O9 structure.

a = 8.844 Å, b = 5.948 Å, c = 16.700 Å
α = 90.00°, β = 114.56°, γ = 90.00°
Space group P2_1/c (No. 14)
Symmetry-distinct sites (fractional):
Bi 0.149 0.222 0.103 x4
I 0.071 0.185 0.352 x4
I 0.358 0.643 0.521 x4
I 0.414 0.599 0.799 x4
O 0.060 0.055 0.702 x4
O 0.100 0.615 0.670 x4
O 0.105 0.093 0.461 x4
O 0.134 0.600 0.490 x4
O 0.333 0.594 0.882 x4
O 0.342 0.180 0.255 x4
O 0.360 0.084 0.947 x4
O 0.373 0.005 0.635 x4
O 0.403 0.025 0.120 x4

## Properties
mass density = 6.10 g/cm³
ΔH_f (0 K) = -0.58 eV per atom
final energy = -14.8789 eV per atom
V = 15.364 Å³ per atom


Repeat the second record exactly.
## BiI3O9 (r2SCAN)

Data for a geometry-optimized BiI3O9 structure.

a = 8.844 Å, b = 5.948 Å, c = 16.700 Å
α = 90.00°, β = 114.56°, γ = 90.00°
Space group P2_1/c (No. 14)
Symmetry-distinct sites (fractional):
Bi 0.149 0.222 0.103 x4
I 0.071 0.185 0.352 x4
I 0.358 0.643 0.521 x4
I 0.414 0.599 0.799 x4
O 0.060 0.055 0.702 x4
O 0.100 0.615 0.670 x4
O 0.105 0.093 0.461 x4
O 0.134 0.600 0.490 x4
O 0.333 0.594 0.882 x4
O 0.342 0.180 0.255 x4
O 0.360 0.084 0.947 x4
O 0.373 0.005 0.635 x4
O 0.403 0.025 0.120 x4

## Properties
mass density = 6.10 g/cm³
ΔH_f (0 K) = -0.58 eV per atom
final energy = -14.8789 eV per atom
V = 15.364 Å³ per atom